Entry 1:
DFT (PBE) results for crystalline NbBr6O2 at its relaxed geometry.

Unit cell a=9.2354 b=9.6736 c=10.0990 alpha=90.00 beta=90.00 gamma=90.00
Closest atoms and distances in Å follow each position.
Positions (direct):
Br 0.5000 0.3706 0.6275  1 Nb 2.50
Br 0.5000 0.6782 0.9101  1 Br 2.31
Br 0.0000 0.8706 0.3725  1 Nb 2.50
Br 0.5000 0.1107 0.3842  1 Nb 2.49
Br 0.0000 0.1782 0.0899  1 Br 2.31
Br 0.0000 0.1230 0.6213  1 Nb 2.47
Br 0.0000 0.8609 0.8643  1 Nb 2.47
Br 0.5000 0.8547 0.0639  1 Br 2.31
Br 0.5000 0.6230 0.3787  1 Nb 2.47
Br 0.0000 0.3547 0.9361  1 Br 2.31
Br 0.0000 0.6107 0.6158  1 Nb 2.49
Br 0.5000 0.3609 0.1357  1 Nb 2.47
O 0.5000 0.0461 0.7921  1 O 1.23
O 0.0000 0.5461 0.2079  1 O 1.23
O 0.0000 0.4627 0.3004  1 O 1.23
O 0.5000 0.9627 0.6996  1 O 1.23
Nb 0.0000 0.8681 0.6198  4 Br 2.47-2.50
Nb 0.5000 0.3681 0.3802  4 Br 2.47-2.50

Summary:
The corrected total energy (MP2020 scheme) is -3.6267 eV/atom. The calculated volume is 902 Å³/cell. The calculation puts the energy of formation at -314 meV/atom. For the total DFT energy (no corrections), the calculation gives -3.59 eV/atom.

***

Entry 2:
DFT (PBE) results for crystalline GdLuAg2 at its relaxed geometry.

Unit cell a=5.1403 b=5.1403 c=5.1403 alpha=60.00 beta=60.00 gamma=60.00
Closest atoms and distances in Å follow each position.
Positions (direct):
Ag 0.2500 0.2500 0.2500  4 Gd 3.15, 4 Lu 3.15
Ag 0.7500 0.7500 0.7500  4 Gd 3.15, 4 Lu 3.15
Lu 0.0000 0.0000 0.0000  8 Ag 3.15
Gd 0.5000 0.5000 0.5000  8 Ag 3.15

Summary:
The calculated volume is 96 Å³/cell. The calculation puts the energy of formation at -320 meV/atom. For the total DFT energy (no corrections), the calculation gives -6.39 eV/atom.

***

Entry 3:
DFT (PBE) results for crystalline Lu2Ga8Co at its relaxed geometry.

Unit cell a=4.2261 b=4.2261 c=10.9172 alpha=90.00 beta=90.00 gamma=90.00
Closest atoms and distances in Å follow each position.
Positions (direct):
Ga 0.5000 0.5000 0.6993  8 Ga 2.91-3.03, 4 Lu 2.99
Ga 0.5000 0.0000 0.1177  2 Co 2.47, 1 Ga 2.57
Ga 0.0000 0.5000 0.1177  2 Co 2.47, 1 Ga 2.57
Ga 0.5000 0.0000 0.8823  2 Co 2.47, 1 Ga 2.57
Ga 0.5000 0.5000 0.3007  8 Ga 2.91-3.03, 4 Lu 2.99
Ga 0.0000 0.5000 0.5000  8 Ga 2.99-3.03, 4 Lu 2.99
Ga 0.0000 0.5000 0.8823  2 Co 2.47, 1 Ga 2.57
Ga 0.5000 0.0000 0.5000  8 Ga 2.99-3.03, 4 Lu 2.99
Lu 0.0000 0.0000 0.6938  12 Ga 2.95-2.99
Lu 0.0000 0.0000 0.3062  12 Ga 2.95-2.99
Co 0.0000 0.0000 0.0000  8 Ga 2.47

Summary:
The calculated volume is 195 Å³/cell. The calculation puts the energy of formation at -458 meV/atom. For the total DFT energy (no corrections), the calculation gives -4.13 eV/atom.

***

Entry 4:
DFT (PBE) results for crystalline RbEuS2 at its relaxed geometry.

Unit cell a=8.0279 b=8.0279 c=8.0279 alpha=30.72 beta=30.72 gamma=30.72
Closest atoms and distances in Å follow each position.
Positions (direct):
S 0.2315 0.2315 0.2315  3 Eu 2.87
S 0.7685 0.7685 0.7685  3 Eu 2.87
Rb 0.0000 0.0000 0.0000  6 S 3.39
Eu 0.5000 0.5000 0.5000  6 S 2.87

Summary:
The corrected total energy (MP2020 scheme) is -6.6524 eV/atom. The calculated volume is 120 Å³/cell. The calculation puts the energy of formation at -1775 meV/atom. For the total DFT energy (no corrections), the calculation gives -6.40 eV/atom.

***

Entry 5:
DFT (PBE) results for crystalline LuP3O9 at its relaxed geometry.

Unit cell a=12.3293 b=12.3293 c=10.0804 alpha=69.71 beta=69.71 gamma=110.14
Closest atoms and distances in Å follow each position.
Positions (direct):
O 0.7957 0.6709 0.6492  1 P 1.50
O 0.1420 0.5148 0.7510  1 P 1.50
O 0.8820 0.9195 0.4965  2 P 1.60-1.61
O 0.4463 0.3148 0.1602  2 P 1.60
O 0.2781 0.6552 0.9545  2 P 1.60-1.61
O 0.9195 0.8820 0.9965  2 P 1.60-1.61
O 0.8666 0.2358 0.0640  1 P 1.49
O 0.6709 0.7957 0.1492  1 P 1.50
O 0.7382 0.4118 0.6397  1 P 1.50
O 0.2175 0.8804 0.0918  1 P 1.50
O 0.9820 0.6997 0.3592  1 P 1.49
O 0.0055 0.6683 0.8296  1 P 1.50
O 0.4622 0.0358 0.5968  1 P 1.50
O 0.3148 0.4463 0.6602  2 P 1.60
O 0.9086 0.1056 0.2688  2 P 1.59-1.60
O 0.6683 0.0055 0.3296  1 P 1.50
O 0.2358 0.8666 0.5640  1 P 1.49
O 0.7957 0.7941 0.3052  1 P 1.50
O 0.5436 0.5316 0.6323  1 P 1.50
O 0.4164 0.8681 0.2910  1 P 1.50
O 0.7290 0.5248 0.3281  1 P 1.50
O 0.5248 0.7290 0.8281  1 P 1.50
O 0.1600 0.4561 0.2551  1 P 1.50
O 0.5316 0.5436 0.1323  1 P 1.50
O 0.3311 0.3054 0.8899  1 P 1.49
O 0.0825 0.0350 0.2000  1 P 1.50
O 0.6997 0.9820 0.8592  1 P 1.49
O 0.0358 0.4622 0.0968  1 P 1.50
O 0.3054 0.3311 0.3899  1 P 1.49
O 0.0350 0.0825 0.7000  1 P 1.50
O 0.3530 0.5230 0.8529  2 P 1.61
O 0.4118 0.7382 0.1397  1 P 1.50
O 0.7941 0.7957 0.8052  1 P 1.50
O 0.6189 0.3202 0.9471  2 P 1.59-1.60
O 0.4224 0.7618 0.6449  1 P 1.50
O 0.5230 0.3530 0.3529  2 P 1.61
O 0.1609 0.0750 0.8562  1 P 1.50
O 0.4561 0.1600 0.7551  1 P 1.50
O 0.1056 0.9086 0.7688  2 P 1.59-1.60
O 0.8804 0.2175 0.5918  1 P 1.50
O 0.6552 0.2781 0.4545  2 P 1.60-1.61
O 0.0207 0.8493 0.5908  2 P 1.61-1.62
O 0.3764 0.1220 0.1120  1 P 1.50
O 0.7618 0.4224 0.1449  1 P 1.50
O 0.8681 0.4164 0.7910  1 P 1.50
O 0.1220 0.3764 0.6120  1 P 1.50
O 0.6990 0.1893 0.8442  2 P 1.62
O 0.0750 0.1609 0.3562  1 P 1.50
O 0.0936 0.6324 0.1779  2 P 1.59-1.60
O 0.8493 0.0207 0.0908  2 P 1.61-1.62
O 0.1893 0.6990 0.3442  2 P 1.62
O 0.3202 0.6189 0.4471  2 P 1.59-1.60
O 0.6324 0.0936 0.6779  2 P 1.59-1.60
O 0.5148 0.1420 0.2510  1 P 1.50
Lu 0.0935 0.2703 0.4833  6 O 2.17-2.23
Lu 0.2703 0.0935 0.9833  6 O 2.17-2.23
Lu 0.6039 0.7603 0.9851  6 O 2.19-2.20
Lu 0.4535 0.9431 0.4485  6 O 2.18-2.21
Lu 0.9431 0.4535 0.9485  6 O 2.18-2.21
Lu 0.7603 0.6039 0.4851  6 O 2.19-2.20
P 0.8635 0.7983 0.6481  4 O 1.50-1.62
P 0.4837 0.2110 0.1273  4 O 1.50-1.60
P 0.1204 0.7369 0.2395  4 O 1.49-1.62
P 0.0598 0.0004 0.8222  4 O 1.50-1.61
P 0.7416 0.3441 0.7926  4 O 1.50-1.62
P 0.0935 0.8151 0.6911  4 O 1.49-1.61
P 0.3935 0.4496 0.7574  4 O 1.49-1.61
P 0.4496 0.3935 0.2574  4 O 1.49-1.61
P 0.4061 0.6778 0.8074  4 O 1.50-1.61
P 0.3441 0.7416 0.2926  4 O 1.50-1.62
P 0.1379 0.5381 0.1289  4 O 1.50-1.61
P 0.5381 0.1379 0.6289  4 O 1.50-1.61
P 0.2110 0.4837 0.6273  4 O 1.50-1.60
P 0.6778 0.4061 0.3074  4 O 1.50-1.61
P 0.7983 0.8635 0.1481  4 O 1.50-1.62
P 0.8151 0.0935 0.1911  4 O 1.49-1.61
P 0.0004 0.0598 0.3222  4 O 1.50-1.61
P 0.7369 0.1204 0.7395  4 O 1.49-1.62

Summary:
The corrected total energy (MP2020 scheme) is -8.0543 eV/atom. The calculated volume is 1145 Å³/cell. The calculation puts the energy of formation at -3032 meV/atom. For the total DFT energy (no corrections), the calculation gives -7.58 eV/atom. The energy above the lowest structure with this stoichiometry comes out at 10 meV/atom.

***

Entry 6:
DFT (PBE) results for crystalline TmZnPd at its relaxed geometry.

Unit cell a=3.7780 b=7.2862 c=7.2862 alpha=120.00 beta=90.00 gamma=90.00
Closest atoms and distances in Å follow each position.
Positions (direct):
Pd 0.5000 0.6667 0.3333  3 Zn 2.76, 6 Tm 2.91
Pd 0.5000 0.3333 0.6667  3 Zn 2.76, 6 Tm 2.91
Pd 0.0000 0.0000 0.0000  6 Zn 2.65, 3 Tm 2.96
Tm 0.0000 0.4060 0.0000  5 Pd 2.91-2.96, 6 Zn 3.11-3.21
Tm 0.0000 0.0000 0.4060  5 Pd 2.91-2.96, 6 Zn 3.11-3.21
Tm 0.0000 0.5940 0.5940  5 Pd 2.91-2.96, 6 Zn 3.11-3.21
Zn 0.5000 0.2547 0.2547  4 Pd 2.65-2.76
Zn 0.5000 0.7453 0.0000  4 Pd 2.65-2.76
Zn 0.5000 0.0000 0.7453  4 Pd 2.65-2.76

Summary:
The calculated volume is 174 Å³/cell. The calculation puts the energy of formation at -770 meV/atom. For the total DFT energy (no corrections), the calculation gives -4.41 eV/atom. The energy above the lowest structure with this stoichiometry comes out at 5 meV/atom.

***

Entry 7:
DFT (PBE) results for crystalline MgTe2Mo2WSe2S2 at its relaxed geometry.

Unit cell a=3.3638 b=3.3641 c=35.2826 alpha=88.80 beta=91.15 gamma=120.04
Closest atoms and distances in Å follow each position.
Positions (direct):
Mo 0.6594 0.3422 0.3537  6 S 2.45-2.47
Mo 0.3337 0.6661 0.1112  6 Se 2.55-2.56
Se 0.6608 0.3399 0.0642  3 Mo 2.55
Se 0.6733 0.3255 0.1585  3 Mo 2.56
S 0.3318 0.6690 0.3962  3 Mo 2.45
S 0.3204 0.6819 0.3105  3 Mo 2.47
Te 0.6601 0.3406 0.5242  3 W 2.72
Te 0.6740 0.3249 0.6319  3 W 2.71-2.72
W 0.3338 0.6661 0.5781  6 Te 2.71-2.72
Mg 0.6621 0.3401 0.2408  1 Se 2.90, 3 S 3.10-3.20

Summary:
The corrected total energy (MP2020 scheme) is -6.2855 eV/atom. The calculated volume is 346 Å³/cell. The calculation puts the energy of formation at -505 meV/atom. For the total DFT energy (no corrections), the calculation gives -6.18 eV/atom. The energy above the lowest structure with this stoichiometry comes out at 4 meV/atom.

***

Entry 8:
DFT (PBE) results for crystalline LaAlAg2 at its relaxed geometry.

Unit cell a=5.0258 b=5.0258 c=5.0258 alpha=60.00 beta=60.00 gamma=60.00
Closest atoms and distances in Å follow each position.
Positions (direct):
Ag 0.7500 0.7500 0.7500  4 La 3.08, 4 Al 3.08
Ag 0.2500 0.2500 0.2500  4 La 3.08, 4 Al 3.08
La 0.0000 0.0000 0.0000  8 Ag 3.08
Al 0.5000 0.5000 0.5000  8 Ag 3.08

Summary:
The calculated volume is 90 Å³/cell. The calculation puts the energy of formation at -275 meV/atom. For the total DFT energy (no corrections), the calculation gives -3.86 eV/atom.